No. 1
DFT (GGA+U) results for a geometry-optimized La4MgNiO8 structure.

```
La4MgNiO8
1.0
-4.108 2.767 0.766
-4.874 -6.095 -4.123
-4.763 -7.359 1.037
O La Mg Ni
8 4 1 1
direct
0.000 0.333 0.333
0.242 0.236 0.764
0.000 0.667 0.667
0.242 0.764 0.236
0.758 0.236 0.764
0.758 0.764 0.236
0.500 0.811 0.811
0.500 0.189 0.189
0.000 0.899 0.899
0.500 0.679 0.679
0.000 0.101 0.101
0.500 0.321 0.321
0.500 0.500 0.500
0.500 0.000 0.000
```

Output
E above lowest polymorph in meV/atom: 460
Final energy in eV per cell: -98.2

=====

No. 2
DFT (GGA+U) results for a geometry-optimized Li4Co3O7 structure.

```
Li4Co3O7
1.0
4.241 -1.133 2.582
5.003 -0.929 -0.195
4.753 16.376 2.509
Li O Co
8 14 6
direct
0.429 0.429 0.143
0.571 0.571 0.857
0.144 0.144 0.713
0.711 0.711 0.569
0.000 0.000 0.000
0.856 0.856 0.287
0.000 0.000 0.500
0.289 0.289 0.431
0.357 0.357 0.545
0.516 0.516 0.250
0.939 0.939 0.389
0.909 0.909 0.894
0.799 0.799 0.685
0.061 0.061 0.611
0.091 0.091 0.106
0.226 0.226 0.825
0.341 0.341 0.035
0.484 0.484 0.750
0.774 0.774 0.175
0.659 0.659 0.965
0.643 0.643 0.455
0.201 0.201 0.315
0.570 0.570 0.365
0.716 0.716 0.071
0.284 0.284 0.929
0.430 0.430 0.635
0.144 0.144 0.213
0.856 0.856 0.787
```

Output
E above lowest polymorph in meV/atom: 6
Final energy in eV per cell: -155.5

=====

No. 3
DFT (GGA+U) results for a geometry-optimized Ca5V3O13 structure.

```
Ca5V3O13
1.0
-5.153 8.578 -0.425
-4.794 -8.648 1.592
0.799 0.820 6.861
O Ca V
26 10 6
direct
0.832 0.333 0.956
0.333 0.500 0.456
0.916 0.669 0.652
0.000 0.000 0.958
0.748 0.091 0.260
0.247 0.916 0.152
0.669 0.753 0.152
0.331 0.247 0.652
0.753 0.084 0.652
0.500 0.168 0.956
0.252 0.909 0.760
0.091 0.343 0.760
0.605 0.468 0.464
0.657 0.748 0.760
0.864 0.395 0.464
0.395 0.532 0.964
0.168 0.667 0.456
0.084 0.331 0.152
0.500 0.832 0.456
0.667 0.500 0.956
0.343 0.252 0.260
0.909 0.657 0.260
0.000 0.000 0.458
0.532 0.136 0.464
0.468 0.864 0.964
0.136 0.605 0.964
0.252 0.014 0.459
0.762 0.748 0.459
0.667 0.333 0.712
0.748 0.986 0.959
0.238 0.252 0.959
0.014 0.762 0.959
0.986 0.238 0.459
0.333 0.667 0.212
0.333 0.667 0.706
0.667 0.333 0.206
0.598 0.627 0.958
0.971 0.598 0.458
0.373 0.971 0.958
0.029 0.402 0.958
0.402 0.373 0.458
0.627 0.029 0.458
```

Output
Final energy in eV per cell: -299.0

=====

No. 4
DFT (GGA+U) results for a geometry-optimized CoF3 structure.

```
CoF3
1.0
2.725 -1.573 4.412
-2.714 -4.700 0.000
2.746 -4.719 -6.632
Co F
4 12
direct
0.250 0.750 0.500
0.750 0.250 0.500
0.000 0.000 0.000
0.500 0.500 0.000
0.493 0.507 0.502
0.008 0.992 0.500
0.742 0.258 0.000
0.375 0.625 0.750
0.125 0.875 0.250
0.625 0.375 0.250
0.242 0.242 0.000
0.508 0.008 0.500
0.993 0.491 0.502
0.757 0.759 0.998
0.875 0.125 0.750
0.257 0.743 0.998
```

Output
Final energy in eV per cell: -73.8

=====

No. 5
DFT (GGA+U) results for a geometry-optimized NaMnO2 structure.

```
NaMnO2
1.0
-1.282 2.255 1.297
-3.022 1.001 -4.725
-8.319 -6.944 3.850
Mn O Na
4 8 4
direct
0.250 0.975 0.120
0.250 0.525 0.620
0.750 0.025 0.880
0.750 0.475 0.380
0.750 0.154 0.191
0.250 0.654 0.309
0.750 0.714 0.552
0.250 0.214 0.948
0.250 0.286 0.448
0.750 0.786 0.052
0.250 0.846 0.809
0.750 0.346 0.691
0.750 0.531 0.875
0.250 0.469 0.125
0.750 0.969 0.375
0.250 0.031 0.625
```

Output
E above lowest polymorph in meV/atom: 83
Final energy in eV per cell: -100.5

=====

No. 6
DFT (GGA+U) results for a geometry-optimized V3CoP4O16 structure.

```
V3CoP4O16
1.0
-1.598 3.914 4.104
-3.003 -3.312 1.990
7.379 -3.238 5.960
O P Co V
16 4 1 3
direct
0.500 0.148 0.551
0.699 0.265 0.328
0.209 0.702 0.170
0.000 0.652 0.949
0.000 0.220 0.623
0.297 0.263 0.832
0.796 0.767 0.673
0.000 0.255 0.111
0.703 0.263 0.832
0.791 0.702 0.170
0.500 0.716 0.883
0.500 0.800 0.371
0.000 0.847 0.450
0.500 0.338 0.056
0.204 0.767 0.673
0.301 0.265 0.328
0.500 0.409 0.906
0.000 0.560 0.095
0.000 0.914 0.596
0.500 0.107 0.401
0.000 0.037 0.276
0.000 0.480 0.770
0.500 0.977 0.731
0.500 0.544 0.223
```

Output
Final energy in eV per cell: -178.4

=====

No. 7
DFT (GGA+U) results for a geometry-optimized Li2FePCO7 structure.

```
Li2FePCO7
1.0
6.499 0.000 0.000
0.000 9.374 0.000
0.000 4.714 9.043
C O Li Fe P
4 28 8 4 4
direct
0.736 0.042 0.882
0.236 0.958 0.618
0.264 0.958 0.118
0.764 0.042 0.382
0.236 0.831 0.595
0.559 0.679 0.319
0.736 0.169 0.905
0.747 0.075 0.742
0.264 0.831 0.095
0.285 0.578 0.031
0.247 0.925 0.758
0.286 0.101 0.011
0.786 0.899 0.489
0.214 0.101 0.511
0.714 0.899 0.989
0.933 0.701 0.301
0.753 0.075 0.242
0.267 0.463 0.807
0.567 0.701 0.801
0.433 0.299 0.199
0.215 0.578 0.531
0.059 0.321 0.181
0.253 0.925 0.258
0.767 0.537 0.693
0.941 0.679 0.819
0.715 0.422 0.969
0.441 0.321 0.681
0.785 0.422 0.469
0.733 0.537 0.193
0.067 0.299 0.699
0.233 0.463 0.307
0.764 0.169 0.405
0.463 0.279 0.984
0.537 0.721 0.016
0.037 0.279 0.484
0.963 0.721 0.516
0.256 0.099 0.315
0.756 0.901 0.185
0.744 0.901 0.685
0.244 0.099 0.815
0.746 0.329 0.686
0.754 0.329 0.186
0.254 0.671 0.314
0.246 0.671 0.814
0.252 0.419 0.178
0.248 0.419 0.678
0.748 0.581 0.822
0.752 0.581 0.322
```

Output
E above lowest polymorph in meV/atom: 16
Final energy in eV per cell: -327.4

=====

No. 8
DFT (GGA+U) results for a geometry-optimized V3Cr3W2O16 structure.

```
V3Cr3W2O16
1.0
-1.937 -5.598 0.822
5.043 1.826 2.706
-4.959 2.958 7.233
O V Cr W
16 3 3 2
direct
0.479 0.529 0.157
0.948 0.473 0.663
0.002 0.987 0.201
0.356 0.177 0.402
0.521 0.047 0.655
0.519 0.474 0.655
0.472 0.952 0.160
0.047 0.529 0.153
0.179 0.827 0.903
0.826 0.173 0.405
0.178 0.354 0.903
0.655 0.830 0.905
0.324 0.673 0.392
0.010 0.005 0.699
0.830 0.650 0.406
0.645 0.323 0.891
0.340 0.171 0.776
0.171 0.827 0.282
0.165 0.335 0.285
0.829 0.661 0.792
0.661 0.829 0.293
0.828 0.168 0.792
0.341 0.668 0.007
0.675 0.337 0.508
```

Output
Final energy in eV per cell: -184.9

=====

No. 9
DFT (GGA+U) results for a geometry-optimized Li3Mn4VO8 structure.

```
Li3Mn4VO8
1.0
3.016 5.313 0.000
-3.016 5.313 0.000
0.000 3.358 4.992
Mn O V Li
4 8 1 3
direct
0.000 0.000 0.000
0.500 0.000 0.500
0.500 0.500 0.500
0.000 0.500 0.500
0.751 0.751 0.266
0.726 0.726 0.757
0.250 0.738 0.762
0.274 0.274 0.243
0.750 0.262 0.238
0.262 0.750 0.238
0.249 0.249 0.734
0.738 0.250 0.762
0.500 0.500 0.000
0.500 0.000 0.000
0.000 0.000 0.500
0.000 0.500 0.000
```

Output
Final energy in eV per cell: -111.7

=====

No. 10
DFT (GGA+U) results for a geometry-optimized Fe5O7F3 structure.

```
Fe5O7F3
1.0
3.256 3.343 0.000
-3.256 3.343 0.000
0.000 0.026 15.263
Fe O F
10 14 6
direct
0.015 0.985 0.500
0.981 0.976 0.099
0.502 0.498 0.000
0.475 0.513 0.596
0.033 0.015 0.706
0.487 0.525 0.404
0.491 0.481 0.799
0.985 0.967 0.294
0.024 0.019 0.901
0.519 0.509 0.201
0.314 0.318 0.698
0.294 0.308 0.498
0.801 0.183 0.198
0.322 0.313 0.904
0.179 0.809 0.396
0.817 0.199 0.802
0.809 0.191 0.000
0.692 0.706 0.502
0.209 0.807 0.805
0.687 0.678 0.096
0.682 0.686 0.302
0.191 0.821 0.604
0.193 0.791 0.195
0.197 0.803 0.000
0.703 0.704 0.700
0.301 0.294 0.102
0.794 0.199 0.398
0.801 0.206 0.602
0.296 0.297 0.300
0.706 0.699 0.898
```

Output
E above lowest polymorph in meV/atom: 26
Final energy in eV per cell: -182.3

=====

No. 11
DFT (GGA+U) results for a geometry-optimized Mg6CrCoO8 structure.

```
Mg6CrCoO8
1.0
8.535 0.000 0.000
0.000 4.282 0.000
0.000 0.000 4.282
O Mg Cr Co
8 6 1 1
direct
0.000 0.500 0.000
0.755 0.500 0.500
0.500 0.500 0.000
0.500 0.000 0.500
0.245 0.500 0.500
0.000 0.000 0.500
0.743 0.000 0.000
0.257 0.000 0.000
0.752 0.000 0.500
0.500 0.000 0.000
0.248 0.500 0.000
0.248 0.000 0.500
0.500 0.500 0.500
0.752 0.500 0.000
0.000 0.500 0.500
0.000 0.000 0.000
```

Output
E above lowest polymorph in meV/atom: 20
Final energy in eV per cell: -98.9

=====

No. 12
DFT (GGA+U) results for a geometry-optimized Fe3O4F2 structure.

```
Fe3O4F2
1.0
5.605 0.000 0.000
1.274 5.491 0.000
2.046 1.551 6.600
O Fe F
8 6 4
direct
0.236 0.220 0.463
0.107 0.092 0.207
0.342 0.978 0.840
0.764 0.780 0.537
0.893 0.908 0.793
0.658 0.022 0.160
0.564 0.565 0.132
0.436 0.435 0.868
0.632 0.697 0.836
0.368 0.303 0.164
0.000 0.000 0.000
0.000 0.000 0.500
0.666 0.685 0.324
0.334 0.315 0.676
0.031 0.632 0.168
0.969 0.368 0.832
0.695 0.317 0.496
0.305 0.683 0.504
```

Output
E above lowest polymorph in meV/atom: 14
Final energy in eV per cell: -109.3

=====

Q: Look up the final energy of the third one.
A: -299.0 eV per cell